Entry from the Materials Project: an optimized crystal structure of Li24Ti7Cr5O36 (GGA+U).

Computed properties:
spin magnetization: 0.139 μB per atom
excess energy over the best structure of this formula in the dataset: 0.000 kcal/mol of atoms
space-group type: P1
formation enthalpy at 0 K: -2.667 eV per atom

Unit cell a=5.084 b=9.807 c=13.382 alpha=97.05 beta=100.71 gamma=95.05
Sites, in units of the cell vectors:
1 Li 0.161 0.000 0.835
2 Li 0.051 0.001 0.611
3 Li 0.000 0.750 0.250
4 Li 0.333 0.750 0.916
5 Li 0.048 0.500 0.113
6 Li 0.382 0.497 0.779
7 Li 0.163 0.501 0.335
8 Li 0.500 0.500 0.000
9 Li 0.289 0.500 0.552
10 Li 0.333 0.250 0.416
11 Li 0.493 0.001 0.502
12 Li 0.287 0.001 0.054
13 Li 0.620 0.002 0.721
14 Li 0.386 0.002 0.280
15 Li 0.710 0.998 0.945
16 Li 0.666 0.750 0.582
17 Li 0.718 0.500 0.447
18 Li 0.829 0.498 0.669
19 Li 0.614 0.498 0.218
20 Li 0.956 0.501 0.887
21 Li 0.667 0.250 0.084
22 Li 0.838 0.000 0.166
23 Li 0.999 0.250 0.749
24 Li 0.949 0.998 0.387
25 Ti 0.111 0.250 0.975
26 Ti 0.223 0.750 0.696
27 Ti 0.559 0.252 0.861
28 Ti 0.444 0.750 0.140
29 Ti 0.558 0.750 0.364
30 Ti 0.889 0.248 0.525
31 Ti 0.891 0.751 0.026
32 Cr 0.109 0.749 0.472
33 Cr 0.226 0.251 0.199
34 Cr 0.440 0.250 0.639
35 Cr 0.774 0.749 0.803
36 Cr 0.775 0.250 0.302
37 O 0.001 0.862 0.926
38 O 0.072 0.633 0.784
39 O 0.998 0.363 0.427
40 O 0.153 0.362 0.643
41 O 0.265 0.366 0.882
42 O 0.332 0.861 0.594
43 O 0.077 0.136 0.283
44 O 0.187 0.137 0.521
45 O 0.402 0.134 0.952
46 O 0.144 0.864 0.143
47 O 0.259 0.864 0.384
48 O 0.473 0.864 0.809
49 O 0.330 0.138 0.734
50 O 0.190 0.637 0.023
51 O 0.407 0.633 0.453
52 O 0.531 0.638 0.692
53 O 0.333 0.636 0.239
54 O 0.665 0.638 0.902
55 O 0.335 0.362 0.098
56 O 0.672 0.363 0.762
57 O 0.469 0.362 0.308
58 O 0.595 0.364 0.548
59 O 0.810 0.364 0.977
60 O 0.669 0.864 0.263
61 O 0.532 0.138 0.193
62 O 0.732 0.136 0.618
63 O 0.857 0.137 0.857
64 O 0.598 0.866 0.048
65 O 0.807 0.864 0.478
66 O 0.925 0.865 0.717
67 O 0.666 0.137 0.402
68 O 0.736 0.634 0.118
69 O 0.864 0.638 0.359
70 O 0.000 0.638 0.569
71 O 0.924 0.364 0.217
72 O 0.001 0.138 0.074